HoSi3: relaxed, PBE.

Output
The calculated total energy is -5.563 eV/atom. The value obtained for the energy of formation is -0.30 eV per atom. The value obtained for the total moment is 0.00 μB/cell.

Cell: 7.4107 7.4107 7.4107 Å, 121.85 121.85 86.82°
Fractional positions:
Si (0.8001, 0.8001, 0.3726)
Ho (0.2500, 0.7500, 0.5000)
Ho (0.7500, 0.2500, 0.5000)
Si (0.0000, 0.6720, 0.6720)
Si (0.1999, 0.5724, 0.0000)
Si (0.4276, 0.8001, 0.0000)
Si (0.4276, 0.4276, 0.6274)
Si (0.8001, 0.4276, 0.0000)
Ho (0.8296, 0.8296, 0.0000)
Si (0.5724, 0.5724, 0.3726)
Ho (0.1704, 0.1704, 0.0000)
Si (0.0000, 0.3280, 0.3280)
Si (0.1999, 0.1999, 0.6274)
Si (0.6720, 0.0000, 0.6720)
Si (0.3280, 0.0000, 0.3280)
Si (0.5724, 0.1999, 0.0000)